# 1
The following is a DFT calculation (GGA+U) of a relaxed Li2MnVP3O12 crystal.

The calculation puts the total magnetization at 10.0 μB/cell. The space group is No. 2. The offset from the most stable computed form comes out at 0 meV/atom. For the formation energy from the elements, the calculation gives -2.600 eV/atom. Its density is 2.9 g/cm3. The volume comes out at 12.10 Å³/atom.

Lattice parameters (Å, degrees): 8.2239 8.4162 8.8843 117.58 90.30 118.29
Closest atoms and distances in Å follow each position.
Fractional coordinates of all 38 atoms:
Li 0.0847 0.4089 0.1412  4 O 1.98-2.05
Li 0.3282 0.0645 0.1322  4 O 2.00-2.14
Li 0.6718 0.9355 0.8678  4 O 2.00-2.14
Li 0.9153 0.5911 0.8588  4 O 1.98-2.05
Mn 0.3507 0.6969 0.0513  5 O 1.95-2.16
Mn 0.6493 0.3031 0.9487  5 O 1.95-2.16
V 0.1444 0.2836 0.4364  6 O 1.88-2.05
V 0.8556 0.7164 0.5636  6 O 1.88-2.05
P 0.0385 0.7914 0.2461  4 O 1.53-1.57
P 0.2468 0.7762 0.7452  4 O 1.52-1.59
P 0.4652 0.4997 0.2486  4 O 1.52-1.56
P 0.5348 0.5003 0.7514  4 O 1.52-1.56
P 0.7532 0.2238 0.2548  4 O 1.52-1.59
P 0.9615 0.2086 0.7539  4 O 1.53-1.57
O 0.0084 0.1962 0.5839  1 P 1.53
O 0.0975 0.8296 0.7119  1 P 1.56
O 0.1406 0.0184 0.2747  1 P 1.56
O 0.1423 0.3578 0.9125  1 P 1.53
O 0.1816 0.7136 0.2089  1 P 1.57
O 0.1947 0.5669 0.5787  1 P 1.53
O 0.2053 0.7477 0.9086  1 P 1.59
O 0.2623 0.3818 0.2697  1 P 1.55
O 0.3815 0.3774 0.5724  1 P 1.55
O 0.4543 0.9539 0.7948  1 P 1.52
O 0.4872 0.3171 0.1081  1 P 1.56
O 0.4875 0.6565 0.1977  1 P 1.52
O 0.5125 0.3435 0.8023  1 P 1.52
O 0.5128 0.6829 0.8919  1 P 1.56
O 0.5457 0.0461 0.2052  1 P 1.52
O 0.6185 0.6226 0.4276  1 P 1.55
O 0.7377 0.6182 0.7303  1 P 1.55
O 0.7947 0.2523 0.0914  1 P 1.59
O 0.8053 0.4331 0.4213  1 P 1.53
O 0.8184 0.2864 0.7911  1 P 1.57
O 0.8577 0.6422 0.0875  1 P 1.53
O 0.8594 0.9816 0.7253  1 P 1.56
O 0.9025 0.1704 0.2881  1 P 1.56
O 0.9916 0.8038 0.4161  1 P 1.53

# 2
The following is a DFT calculation (GGA+U) of a relaxed Li3Mn5Ni2O12 crystal.

The calculation puts the total magnetization at 66.0 μB/cell. The space group is No. 1. For the formation energy from the elements, the calculation gives -1.867 eV/atom. Its density is 4.6 g/cm3. The volume comes out at 9.86 Å³/atom.

Lattice parameters (Å, degrees): 5.0928 5.1224 28.7315 89.32 88.43 60.31
Closest atoms and distances in Å follow each position.
Fractional coordinates of all 66 atoms:
Li 0.0000 0.0000 0.0000  4 O 2.00-2.21
Li 0.0009 0.0021 0.4893  4 O 2.00-2.20
Li 0.0072 0.3284 0.1576  6 O 1.99-2.22
Li 0.0195 0.3133 0.4106  6 O 1.99-2.22
Li 0.3351 0.0009 0.8226  4 O 2.00-2.20
Li 0.3524 0.3141 0.7439  6 O 1.99-2.22
Li 0.6664 0.3283 0.3318  6 O 1.99-2.23
Li 0.6692 0.3135 0.0787  6 O 1.99-2.23
Li 0.9979 0.3281 0.6647  6 O 1.99-2.22
Mn 0.0007 0.3343 0.9113  6 O 1.93-1.98
Mn 0.0086 0.6428 0.3323  5 O 1.89-2.11
Mn 0.0102 0.6440 0.8236  5 O 1.91-2.10
Mn 0.3360 0.0146 0.5778  4 O 1.92-2.04
Mn 0.3360 0.3308 0.2446  6 O 1.94-1.96
Mn 0.3370 0.0050 0.0777  6 O 1.92-2.03
Mn 0.3418 0.6432 0.6655  5 O 1.89-2.12
Mn 0.3507 0.6437 0.1570  5 O 1.89-2.11
Mn 0.6587 0.0181 0.9113  6 O 1.93-2.11
Mn 0.6599 0.0049 0.4115  6 O 1.92-2.03
Mn 0.6681 0.3316 0.5782  6 O 1.92-2.00
Mn 0.6760 0.6446 0.4901  5 O 1.91-2.10
Mn 0.6817 0.6432 0.9990  5 O 1.91-2.10
Mn 0.9930 0.0051 0.7448  6 O 1.92-2.03
Mn 0.9955 0.0114 0.2446  6 O 1.90-2.12
Ni 0.0093 0.6496 0.0777  6 O 1.99-2.15
Ni 0.3354 0.6641 0.9113  6 O 2.04-2.16
Ni 0.3427 0.6497 0.4115  6 O 1.99-2.15
Ni 0.6614 0.6789 0.2447  6 O 2.04-2.17
Ni 0.6762 0.6497 0.7448  6 O 1.98-2.15
Ni 0.9965 0.6713 0.5780  6 O 2.01-2.17
O 0.0008 0.3557 0.2834  3 Mn 1.96-2.11, 1 Ni 2.05
O 0.0077 0.0189 0.6131  2 Mn 1.92-1.97, 1 Ni 2.08
O 0.0099 0.3070 0.0409  2 Mn 1.95-2.10, 2 Li 2.00-2.01, 1 Ni 2.06
O 0.0180 0.3077 0.7815  2 Mn 1.94-2.10, 2 Li 2.00-2.01, 1 Ni 2.06
O 0.0259 0.6667 0.7045  2 Mn 1.89-2.03, 1 Li 2.09
O 0.0464 0.6441 0.2047  3 Mn 1.94-2.11
O 0.0546 0.9643 0.1186  2 Mn 1.92-1.94, 1 Li 2.09, 1 Ni 2.11
O 0.2950 0.6934 0.7854  2 Mn 1.91-1.97, 1 Li 2.01
O 0.3048 0.3445 0.8711  3 Mn 1.93-2.11, 1 Ni 2.08
O 0.3124 0.6438 0.2846  3 Mn 1.94-2.12
O 0.3129 0.0187 0.2090  2 Mn 1.91-1.96, 1 Ni 2.06
O 0.3164 0.9648 0.7039  2 Mn 1.92-1.94, 1 Li 2.10, 1 Ni 2.12
O 0.3263 0.3213 0.1151  2 Mn 1.93-2.11, 1 Ni 1.99, 2 Li 1.99
O 0.3321 0.0116 0.9459  2 Mn 1.93-1.96, 1 Ni 2.04
O 0.3327 0.3490 0.6161  3 Mn 1.97-2.10, 1 Ni 2.03
O 0.3473 0.6923 0.0370  2 Mn 1.91-1.97, 1 Li 2.01
O 0.3547 0.3203 0.3741  2 Mn 1.94-2.11, 1 Ni 1.99, 2 Li 1.99
O 0.3680 0.6728 0.5397  3 Mn 2.00-2.04, 1 Ni 2.17
O 0.3720 0.9531 0.4517  2 Mn 1.93-1.96, 1 Ni 2.01, 1 Li 2.06
O 0.6433 0.6672 0.1178  2 Mn 1.89-2.03, 1 Li 2.09
O 0.6451 0.3564 0.2056  3 Mn 1.96-2.12, 1 Ni 2.04
O 0.6541 0.6338 0.6192  2 Mn 1.93-2.03, 1 Li 2.14
O 0.6649 0.0106 0.5427  2 Mn 1.92-1.95, 1 Ni 2.01
O 0.6700 0.0196 0.2801  2 Mn 1.90-1.96, 1 Ni 2.05
O 0.6774 0.9530 0.0375  2 Mn 1.94-1.96, 1 Ni 2.02, 1 Li 2.05
O 0.6837 0.3077 0.4483  2 Mn 1.94-2.10, 2 Li 2.00-2.01, 1 Ni 2.06
O 0.6856 0.3440 0.9512  3 Mn 1.93-2.10, 1 Ni 2.09
O 0.6872 0.3206 0.7075  2 Mn 1.93-2.12, 1 Ni 1.98, 2 Li 1.99
O 0.6922 0.6657 0.3713  2 Mn 1.89-2.03, 1 Li 2.09
O 0.7032 0.6626 0.8719  3 Mn 1.98-2.07, 1 Ni 2.16
O 0.7053 0.9529 0.7850  2 Mn 1.94-1.96, 1 Ni 2.01, 1 Li 2.05
O 0.9631 0.3508 0.5373  2 Mn 1.92-2.03, 1 Ni 2.10
O 0.9626 0.6928 0.4520  2 Mn 1.91-1.97, 1 Li 2.01
O 0.9704 0.6618 0.9508  3 Mn 1.98-2.08, 1 Ni 2.16
O 0.9830 0.9647 0.3706  2 Mn 1.92-1.94, 1 Li 2.09, 1 Ni 2.12
O 0.9920 0.0105 0.8765  2 Mn 1.93-1.97, 1 Ni 2.05

# 3
The following is a DFT calculation (GGA+U) of a relaxed K3Mo4CSNO16 crystal.

The calculation puts the total magnetization at 16.0 μB/cell. The space group is No. 14. For the formation energy from the elements, the calculation gives -1.239 eV/atom. Its density is 2.8 g/cm3. The volume comes out at 18.35 Å³/atom.

Lattice parameters (Å, degrees): 10.7792 15.3077 11.8329 90.00 102.20 90.00
Closest atoms and distances in Å follow each position.
Fractional coordinates of all 104 atoms:
K 0.0454 0.1366 0.4650  2 O 2.62-2.84
K 0.0454 0.3634 0.9650  2 O 2.62-2.84
K 0.2930 0.1476 0.8554  5 O 2.76-2.97
K 0.2930 0.3524 0.3554  5 O 2.76-2.97
K 0.2983 0.6982 0.4783  6 O 2.71-2.98
K 0.2983 0.8018 0.9783  6 O 2.71-2.98
K 0.7017 0.1982 0.0217  6 O 2.71-2.98
K 0.7017 0.3018 0.5217  6 O 2.71-2.98
K 0.7070 0.6476 0.6446  5 O 2.76-2.97
K 0.7070 0.8524 0.1446  5 O 2.76-2.97
K 0.9546 0.6366 0.0350  2 O 2.62-2.84
K 0.9546 0.8634 0.5350  2 O 2.62-2.84
Mo 0.2499 0.5693 0.8853  2 O 1.73-1.75
Mo 0.2499 0.9307 0.3853  2 O 1.73-1.75
Mo 0.2914 0.5511 0.1724  2 O 1.74-1.75
Mo 0.2914 0.9489 0.6724  2 O 1.74-1.75
Mo 0.4172 0.0481 0.1593  3 O 1.74-1.92
Mo 0.4172 0.4519 0.6593  3 O 1.74-1.92
Mo 0.4385 0.1025 0.4485  4 O 1.75-1.95
Mo 0.4385 0.3975 0.9485  4 O 1.75-1.95
Mo 0.5615 0.6025 0.0515  4 O 1.75-1.95
Mo 0.5615 0.8975 0.5515  4 O 1.75-1.95
Mo 0.5828 0.5481 0.3407  3 O 1.74-1.92
Mo 0.5828 0.9519 0.8407  3 O 1.74-1.92
Mo 0.7086 0.0511 0.3276  2 O 1.74-1.75
Mo 0.7086 0.4489 0.8276  2 O 1.74-1.75
Mo 0.7501 0.0693 0.6147  2 O 1.73-1.75
Mo 0.7501 0.4307 0.1147  2 O 1.73-1.75
C 0.1676 0.1712 0.1700  1 N 1.19
C 0.1676 0.3288 0.6700  1 N 1.19
C 0.8324 0.6712 0.3300  1 N 1.19
C 0.8324 0.8288 0.8300  1 N 1.19
S 0.0473 0.2282 0.1880  1 C 1.61
S 0.0473 0.2718 0.6880  1 C 1.61
S 0.9527 0.7282 0.3120  1 C 1.61
S 0.9527 0.7718 0.8120  1 C 1.61
N 0.2560 0.1300 0.1554  1 C 1.19
N 0.2560 0.3700 0.6554  1 C 1.19
N 0.7440 0.6300 0.3446  1 C 1.19
N 0.7440 0.8700 0.8446  1 C 1.19
O 0.0222 0.6482 0.5693  1 O 1.24
O 0.0222 0.8518 0.0693  1 O 1.24
O 0.0375 0.0834 0.9098  1 O 1.24
O 0.0375 0.4166 0.4098  1 O 1.24
O 0.1147 0.5030 0.8665  1 Mo 1.75
O 0.1147 0.9970 0.3665  1 Mo 1.75
O 0.1854 0.0372 0.6516  1 Mo 1.75
O 0.1854 0.4628 0.1516  1 Mo 1.75
O 0.2049 0.6562 0.7915  1 Mo 1.73
O 0.2049 0.8438 0.2915  1 Mo 1.73
O 0.2272 0.6211 0.0334  2 Mo 1.96-1.99
O 0.2272 0.8789 0.5334  2 Mo 1.96-1.99
O 0.2369 0.6190 0.2689  1 Mo 1.74
O 0.2369 0.8810 0.7689  1 Mo 1.74
O 0.3127 0.1767 0.4331  1 Mo 1.75
O 0.3127 0.3233 0.9331  1 Mo 1.75
O 0.3332 0.5323 0.5718  1 Mo 1.74
O 0.3332 0.9677 0.0718  1 Mo 1.74
O 0.3562 0.0084 0.3149  3 Mo 1.96-2.18
O 0.3562 0.4916 0.8149  3 Mo 1.96-2.18
O 0.3842 0.0051 0.5310  1 Mo 1.94
O 0.3842 0.4949 0.0310  1 Mo 1.94
O 0.4257 0.0122 0.7821  2 Mo 1.92-1.98
O 0.4257 0.4878 0.2821  2 Mo 1.92-1.98
O 0.4413 0.6478 0.9401  1 Mo 1.78
O 0.4413 0.8522 0.4401  1 Mo 1.78
O 0.4673 0.1207 0.0636  1 Mo 1.75
O 0.4673 0.3793 0.5636  1 Mo 1.75
O 0.4803 0.6267 0.1807  1 Mo 1.95
O 0.4803 0.8733 0.6807  1 Mo 1.95
O 0.4820 0.7269 0.6890  1 O 2.24
O 0.4820 0.7731 0.1890  1 O 2.24
O 0.5180 0.2269 0.8110  1 O 2.24
O 0.5180 0.2731 0.3110  1 O 2.24
O 0.5197 0.1267 0.3193  1 Mo 1.95
O 0.5197 0.3733 0.8193  1 Mo 1.95
O 0.5327 0.6207 0.4364  1 Mo 1.75
O 0.5327 0.8793 0.9364  1 Mo 1.75
O 0.5587 0.1478 0.5599  1 Mo 1.78
O 0.5587 0.3522 0.0599  1 Mo 1.78
O 0.5743 0.5122 0.7179  2 Mo 1.92-1.98
O 0.5743 0.9878 0.2179  2 Mo 1.92-1.98
O 0.6158 0.5051 0.9690  1 Mo 1.94
O 0.6158 0.9949 0.4690  1 Mo 1.94
O 0.6438 0.5084 0.1851  3 Mo 1.96-2.18
O 0.6438 0.9916 0.6851  3 Mo 1.96-2.18
O 0.6668 0.0323 0.9282  1 Mo 1.74
O 0.6668 0.4677 0.4282  1 Mo 1.74
O 0.6873 0.6767 0.0669  1 Mo 1.75
O 0.6873 0.8233 0.5669  1 Mo 1.75
O 0.7631 0.1190 0.2311  1 Mo 1.74
O 0.7631 0.3810 0.7311  1 Mo 1.74
O 0.7728 0.1211 0.4666  2 Mo 1.96-1.99
O 0.7728 0.3789 0.9666  2 Mo 1.96-1.99
O 0.7951 0.1562 0.7085  1 Mo 1.73
O 0.7951 0.3438 0.2085  1 Mo 1.73
O 0.8146 0.5372 0.8484  1 Mo 1.75
O 0.8146 0.9628 0.3484  1 Mo 1.75
O 0.8853 0.0030 0.6335  1 Mo 1.75
O 0.8853 0.4970 0.1335  1 Mo 1.75
O 0.9625 0.5834 0.5902  1 O 1.24
O 0.9625 0.9166 0.0902  1 O 1.24
O 0.9778 0.1482 0.9307  1 O 1.24
O 0.9778 0.3518 0.4307  1 O 1.24

# 4
The following is a DFT calculation (GGA+U) of a relaxed Fe3B7IO13 crystal.

The calculation puts the total magnetization at 24.0 μB/cell. The space group is No. 161. The offset from the most stable computed form comes out at 138 meV/atom. For the formation energy from the elements, the calculation gives -2.306 eV/atom. Its density is 3.9 g/cm3. The volume comes out at 10.17 Å³/atom.

Lattice parameters (Å, degrees): 8.7137 8.7137 8.7137 61.92 61.92 61.92
Closest atoms and distances in Å follow each position.
Fractional coordinates of all 48 atoms:
Fe 0.1548 0.6794 0.6659  4 O 2.01-2.23
Fe 0.1659 0.1794 0.6548  4 O 2.01-2.23
Fe 0.1794 0.6548 0.1659  4 O 2.01-2.23
Fe 0.6548 0.1659 0.1794  4 O 2.01-2.23
Fe 0.6659 0.1548 0.6794  4 O 2.01-2.23
Fe 0.6794 0.6659 0.1548  4 O 2.01-2.23
B 0.0935 0.3211 0.9910  4 O 1.46-1.54
B 0.2537 0.2537 0.2537  3 O 1.37
B 0.3211 0.9910 0.0935  4 O 1.46-1.54
B 0.3825 0.3971 0.9286  4 O 1.45-1.52
B 0.3971 0.9286 0.3825  4 O 1.45-1.52
B 0.4286 0.8971 0.8825  4 O 1.45-1.52
B 0.4910 0.8211 0.5935  4 O 1.46-1.54
B 0.5935 0.4910 0.8211  4 O 1.46-1.54
B 0.7537 0.7537 0.7537  3 O 1.37
B 0.8211 0.5935 0.4910  4 O 1.46-1.54
B 0.8825 0.4286 0.8971  4 O 1.45-1.52
B 0.8971 0.8825 0.4286  4 O 1.45-1.52
B 0.9286 0.3825 0.3971  4 O 1.45-1.52
B 0.9910 0.0935 0.3211  4 O 1.46-1.54
I 0.4166 0.4166 0.4166  6 Fe 3.05-3.20
I 0.9166 0.9166 0.9166  6 Fe 3.05-3.20
O 0.0604 0.8956 0.4285  2 B 1.48-1.50
O 0.0612 0.2815 0.8604  2 B 1.49-1.50
O 0.1062 0.4122 0.2497  2 B 1.37-1.52
O 0.1470 0.1470 0.1470  3 B 1.54
O 0.2215 0.4253 0.8961  2 B 1.45-1.46
O 0.2497 0.1062 0.4122  2 B 1.37-1.52
O 0.2815 0.8604 0.0612  2 B 1.49-1.50
O 0.3604 0.7815 0.5612  2 B 1.49-1.50
O 0.3956 0.5604 0.9285  2 B 1.48-1.50
O 0.3961 0.9253 0.7215  2 B 1.45-1.46
O 0.4122 0.2497 0.1062  2 B 1.37-1.52
O 0.4253 0.8961 0.2215  2 B 1.45-1.46
O 0.4285 0.0604 0.8956  2 B 1.48-1.50
O 0.5604 0.9285 0.3956  2 B 1.48-1.50
O 0.5612 0.3604 0.7815  2 B 1.49-1.50
O 0.6062 0.7497 0.9122  2 B 1.37-1.52
O 0.6470 0.6470 0.6470  3 B 1.54
O 0.7215 0.3961 0.9253  2 B 1.45-1.46
O 0.7497 0.9122 0.6062  2 B 1.37-1.52
O 0.7815 0.5612 0.3604  2 B 1.49-1.50
O 0.8604 0.0612 0.2815  2 B 1.49-1.50
O 0.8961 0.2215 0.4253  2 B 1.45-1.46
O 0.8956 0.4285 0.0604  2 B 1.48-1.50
O 0.9122 0.6062 0.7497  2 B 1.37-1.52
O 0.9253 0.7215 0.3961  2 B 1.45-1.46
O 0.9285 0.3956 0.5604  2 B 1.48-1.50